(1)
! PBE NbGaPb2O6, optimized geometry; values from VASP
! Total moment = 0.00 μB per formula unit
! Calculated volume = 13.02 Å³/atom
! Crystal system = cubic
! Calculated density = 8581 kg/m³
! Calculated formation energy = -2203 meV per atom
! Total energy after the MP2020 corrections = -7.2270 eV/atom
&SYSTEM
  ibrav = 0, nat = 10, ntyp = 4
/
ATOMIC_SPECIES
Nb 92.91 Nb.upf
Ga 69.72 Ga.upf
Pb 207.20 Pb.upf
O 16.00 O.upf
CELL_PARAMETERS angstrom
0.000 4.023 4.023
4.023 0.000 4.023
4.023 4.023 0.000
ATOMIC_POSITIONS angstrom
Nb 0.000 0.000 0.000
Ga 4.023 4.023 4.023
Pb 2.012 2.012 2.012
Pb 6.035 6.035 6.035
O 4.023 4.023 2.017
O 4.023 2.017 4.023
O 6.029 4.023 4.023
O 2.017 4.023 4.023
O 4.023 6.029 4.023
O 4.023 4.023 6.029

=====

(2)
! PBE La5AlSi2O13, optimized geometry; values from VASP
! Total moment = 0.00 μB per formula unit
! Calculated volume = 14.43 Å³/atom
! Crystal system = monoclinic
! Calculated density = 5401 kg/m³
! Calculated formation energy = -3762 meV per atom
! Total energy after the MP2020 corrections = -8.6952 eV/atom
&SYSTEM
  ibrav = 0, nat = 42, ntyp = 4
/
ATOMIC_SPECIES
La 138.91 La.upf
Al 26.98 Al.upf
Si 28.09 Si.upf
O 16.00 O.upf
CELL_PARAMETERS angstrom
9.813 0.000 0.000
0.000 7.252 0.000
-4.879 0.000 8.517
ATOMIC_POSITIONS angstrom
La 0.000 0.000 0.000
La -3.670 3.626 6.480
La -1.132 1.812 3.630
La -1.132 5.440 3.630
La 3.799 1.814 0.767
La 3.799 5.438 0.767
La 2.542 3.626 4.531
La 1.465 0.000 6.616
La 4.922 0.000 4.437
La 7.544 3.626 0.007
Al -0.021 3.626 6.725
Al 6.981 0.000 1.424
Si -2.228 0.000 6.241
Si 0.998 3.626 1.159
Si 1.673 0.000 3.337
Si 5.442 3.626 3.084
O -3.094 1.326 5.778
O -3.094 5.925 5.778
O -0.291 3.626 2.159
O 0.976 2.309 0.167
O 0.976 4.943 0.167
O 0.232 0.000 2.529
O -0.799 0.000 5.419
O -2.018 0.000 7.862
O -0.256 3.626 4.988
O -1.516 3.626 7.667
O 2.421 3.626 1.996
O 1.691 1.326 4.321
O 1.691 5.925 4.321
O 2.948 0.000 2.318
O 0.919 2.229 7.277
O 0.919 5.023 7.277
O 5.359 0.000 0.764
O 5.435 3.626 1.436
O 4.602 2.302 3.601
O 4.602 4.949 3.601
O 3.817 3.626 6.460
O 3.816 0.000 6.476
O 7.938 1.385 0.879
O 7.938 5.866 0.879
O 7.033 0.000 3.191
O 6.961 3.626 3.692

=====

(3)
! PBE CaTa2CuO7, optimized geometry; values from VASP
! Total moment = 0.37 μB per formula unit
! Calculated volume = 16.08 Å³/atom
! Crystal system = monoclinic
! Calculated density = 5420 kg/m³
! Calculated formation energy = -2860 meV per atom
! Total energy after the MP2020 corrections = -8.7197 eV/atom
&SYSTEM
  ibrav = 0, nat = 66, ntyp = 4
/
ATOMIC_SPECIES
Ca 40.08 Ca.upf
Ta 180.95 Ta.upf
Cu 63.55 Cu.upf
O 16.00 O.upf
CELL_PARAMETERS angstrom
10.927 0.000 0.000
0.000 8.988 0.000
-0.721 0.000 10.810
ATOMIC_POSITIONS angstrom
Ca -0.180 0.487 2.702
Ca -0.541 8.501 8.107
Ca 3.048 3.978 10.014
Ca 3.408 5.010 4.609
Ca 6.798 3.978 6.200
Ca 7.158 5.010 0.796
Ta -0.113 2.738 5.770
Ta 0.247 6.250 0.365
Ta 3.473 1.777 2.268
Ta 3.113 7.211 7.673
Ta 3.256 2.235 6.684
Ta 3.617 6.753 1.279
Ta 6.589 2.235 9.530
Ta 6.949 6.753 4.126
Ta 7.093 1.777 3.137
Ta 6.733 7.211 8.542
Ta 9.959 2.738 10.444
Ta 10.319 6.250 5.040
Cu -0.180 3.850 2.702
Cu -0.541 5.138 8.107
Cu 2.627 0.674 9.845
Cu 2.987 8.315 4.440
Cu 7.219 0.674 6.370
Cu 7.579 8.315 0.965
O -0.315 1.134 6.552
O 0.045 7.854 1.147
O 0.215 2.439 1.427
O -0.145 6.549 6.832
O 0.120 3.987 9.560
O 0.481 5.001 4.156
O 1.748 3.199 6.020
O 2.108 5.789 0.615
O 2.285 0.567 3.083
O 1.925 8.421 8.488
O 3.238 2.059 0.419
O 2.878 6.929 5.823
O 3.217 3.404 3.011
O 2.856 5.584 8.416
O 3.104 2.064 8.547
O 3.464 6.924 3.142
O 3.392 0.630 5.798
O 3.753 8.358 0.393
O 4.538 3.441 6.169
O 4.899 5.547 0.764
O 5.283 1.297 2.702
O 4.923 7.691 8.107
O 5.307 3.441 10.046
O 5.668 5.547 4.641
O 6.453 0.630 10.417
O 6.814 8.358 5.012
O 6.742 2.064 7.668
O 7.102 6.924 2.263
O 7.349 3.404 2.394
O 6.989 5.584 7.799
O 7.328 2.059 4.986
O 6.968 6.929 10.391
O 8.281 0.567 2.321
O 7.921 8.421 7.726
O 8.098 3.199 10.195
O 8.458 5.789 4.790
O 9.725 3.987 6.654
O 10.086 5.001 1.249
O 10.351 2.439 3.978
O 9.991 6.549 9.383
O 10.161 1.134 9.663
O 10.521 7.854 4.258

=====

(4)
! PBE ZnPPt5, optimized geometry; values from VASP
! Calculated volume = 15.43 Å³/atom
! Crystal system = tetragonal
! Calculated density = 16482 kg/m³
! Calculated formation energy = -408 meV per atom
&SYSTEM
  ibrav = 0, nat = 7, ntyp = 3
/
ATOMIC_SPECIES
Zn 65.41 Zn.upf
P 30.97 P.upf
Pt 195.08 Pt.upf
CELL_PARAMETERS angstrom
3.929 0.000 0.000
0.000 3.929 0.000
0.000 0.000 6.996
ATOMIC_POSITIONS angstrom
Zn 0.000 0.000 0.000
P 1.964 1.964 3.498
Pt 0.000 1.964 2.041
Pt 0.000 1.964 4.954
Pt 1.964 0.000 2.041
Pt 1.964 0.000 4.954
Pt 1.964 1.964 0.000

=====

(5)
! PBE Ta2AgF12, optimized geometry; values from VASP
! Calculated volume = 16.54 Å³/atom
! Crystal system = triclinic
! Calculated density = 4670 kg/m³
! Calculated formation energy = -3159 meV per atom
! Total energy after the MP2020 corrections = -6.4601 eV/atom
&SYSTEM
  ibrav = 0, nat = 15, ntyp = 3
/
ATOMIC_SPECIES
Ta 180.95 Ta.upf
Ag 107.87 Ag.upf
F 19.00 F.upf
CELL_PARAMETERS angstrom
5.397 0.000 0.000
2.583 5.069 0.000
0.325 2.351 9.070
ATOMIC_POSITIONS angstrom
Ta 1.305 0.595 2.082
Ta 7.000 6.825 6.989
Ag 1.454 3.710 4.535
F 3.141 5.736 7.043
F 3.106 4.853 3.791
F 3.113 4.228 1.167
F 2.038 2.022 3.327
F 2.136 1.333 0.586
F 2.834 2.712 6.438
F 5.470 4.708 2.633
F 6.168 6.087 8.485
F 6.266 5.398 5.744
F 5.191 3.192 7.903
F 5.198 2.567 5.279
F 5.163 1.684 2.027

=====

(6)
! PBE Er2CuGe6, optimized geometry; values from VASP
! Total moment = 0.00 μB per formula unit
! Calculated volume = 19.57 Å³/atom
! Crystal system = orthorhombic
! Calculated density = 7863 kg/m³
! Calculated formation energy = -388 meV per atom
&SYSTEM
  ibrav = 0, nat = 9, ntyp = 3
/
ATOMIC_SPECIES
Er 167.26 Er.upf
Cu 63.55 Cu.upf
Ge 72.64 Ge.upf
CELL_PARAMETERS angstrom
4.084 0.000 0.000
0.000 2.025 10.648
0.000 -2.025 10.648
ATOMIC_POSITIONS angstrom
Er 0.000 0.000 0.000
Er 0.000 0.000 7.159
Cu 2.042 0.000 16.629
Ge 0.000 0.000 12.834
Ge 0.000 0.000 15.326
Ge 2.042 0.000 2.171
Ge 2.042 0.000 4.684
Ge 2.042 0.000 9.865
Ge 2.042 0.000 18.945

=====

(7)
! PBE TbMgTl, optimized geometry; values from VASP
! Calculated volume = 26.09 Å³/atom
! Crystal system = hexagonal
! Calculated density = 8223 kg/m³
! Calculated formation energy = -332 meV per atom
&SYSTEM
  ibrav = 0, nat = 9, ntyp = 3
/
ATOMIC_SPECIES
Tb 158.93 Tb.upf
Mg 24.30 Mg.upf
Tl 204.38 Tl.upf
CELL_PARAMETERS angstrom
7.604 0.000 0.000
-3.802 6.585 0.000
0.000 0.000 4.689
ATOMIC_POSITIONS angstrom
Tb -2.171 3.760 0.000
Tb 1.631 2.825 0.000
Tb 4.342 0.000 0.000
Mg -0.928 1.608 2.344
Mg 1.856 0.000 2.344
Mg 2.874 4.978 2.344
Tl 0.000 0.000 0.000
Tl 0.000 4.390 2.344
Tl 3.802 2.195 2.344

=====

(8)
! PBE DyCo3, optimized geometry; values from VASP
! Calculated volume = 14.41 Å³/atom
! Crystal system = trigonal
! Calculated density = 9775 kg/m³
! Calculated formation energy = -176 meV per atom
&SYSTEM
  ibrav = 0, nat = 12, ntyp = 2
/
ATOMIC_SPECIES
Dy 162.50 Dy.upf
Co 58.93 Co.upf
CELL_PARAMETERS angstrom
2.477 1.430 8.133
-2.477 1.430 8.133
0.000 -2.861 8.133
ATOMIC_POSITIONS angstrom
Dy 0.000 0.000 0.000
Dy 0.000 0.000 3.403
Dy 0.000 0.000 20.997
Co -1.247 -0.720 10.111
Co 0.000 0.000 8.174
Co 0.000 -1.440 14.289
Co -1.247 0.720 14.289
Co 0.000 0.000 12.200
Co 1.247 -0.720 10.111
Co 0.000 1.440 10.111
Co 0.000 0.000 16.227
Co 1.247 0.720 14.289

=====

(9)
! PBE Mg6TiCO8, optimized geometry; values from VASP
! Total moment = 2.00 μB per formula unit
! Calculated volume = 9.71 Å³/atom
! Crystal system = tetragonal
! Calculated density = 3568 kg/m³
! Calculated formation energy = -2366 meV per atom
! Total energy after the MP2020 corrections = -6.5099 eV/atom
! Energy above the most stable polymorph in this dataset = 47 kJ/mol of formula units
&SYSTEM
  ibrav = 0, nat = 16, ntyp = 4
/
ATOMIC_SPECIES
Mg 24.30 Mg.upf
Ti 47.87 Ti.upf
C 12.01 C.upf
O 16.00 O.upf
CELL_PARAMETERS angstrom
4.254 0.000 0.000
0.000 4.254 0.000
0.000 0.000 8.580
ATOMIC_POSITIONS angstrom
Mg 0.000 0.000 0.000
Mg 0.000 2.127 2.164
Mg 0.000 2.127 6.416
Mg 2.127 0.000 2.164
Mg 2.127 0.000 6.416
Mg 2.127 2.127 0.000
Ti 0.000 0.000 4.290
C 2.127 2.127 4.290
O 0.000 0.000 2.154
O 0.000 0.000 6.426
O 0.000 2.127 0.000
O 0.000 2.127 4.290
O 2.127 0.000 0.000
O 2.127 0.000 4.290
O 2.127 2.127 2.089
O 2.127 2.127 6.492

=====

(10)
! PBE DyYO3, optimized geometry; values from VASP
! Total moment = 0.00 μB per formula unit
! Calculated volume = 15.35 Å³/atom
! Crystal system = hexagonal
! Calculated density = 6477 kg/m³
! Calculated formation energy = -3894 meV per atom
! Total energy after the MP2020 corrections = -9.0771 eV/atom
&SYSTEM
  ibrav = 0, nat = 30, ntyp = 3
/
ATOMIC_SPECIES
Dy 162.50 Dy.upf
Y 88.91 Y.upf
O 16.00 O.upf
CELL_PARAMETERS angstrom
6.446 0.000 0.000
-3.223 5.582 0.000
0.000 0.000 12.800
ATOMIC_POSITIONS angstrom
Dy -1.074 1.860 0.000
Dy -2.149 3.722 6.400
Dy 2.147 0.000 0.000
Dy 1.074 1.860 6.400
Dy 4.298 0.000 6.400
Dy 2.149 3.722 0.000
Y 0.000 0.000 3.437
Y 0.000 0.000 9.837
Y 0.000 3.721 3.013
Y 0.000 3.721 9.413
Y 3.223 1.861 3.013
Y 3.223 1.861 9.413
O 0.000 0.000 5.955
O 0.000 0.000 12.355
O -0.986 1.708 2.228
O -1.172 2.029 10.594
O -2.051 3.553 4.194
O -2.237 3.874 8.628
O 1.972 0.000 2.228
O 0.986 1.708 8.628
O 0.000 3.721 0.367
O 0.000 3.721 6.767
O 2.343 0.000 10.594
O 1.172 2.029 4.194
O 4.102 0.000 4.194
O 2.051 3.553 10.594
O 3.223 1.861 0.367
O 3.223 1.861 6.767
O 4.473 0.000 8.628
O 2.237 3.874 2.228